Crystalline CdI2 at its relaxed geometry, computed with PBE-GGA.

a b c (Å): 4.346 4.346 66.126
angles (deg): 90.00 90.00 120.00
Element x y z (fractional)
I 0.333 0.667 0.113
I 0.667 0.333 0.832
I 0.000 0.000 0.446
I 0.000 0.000 0.668
I 0.667 0.333 0.721
I 0.000 0.000 0.002
I 0.667 0.333 0.943
I 0.000 0.000 0.557
I 0.667 0.333 0.498
I 0.667 0.333 0.609
I 0.000 0.000 0.224
I 0.667 0.333 0.276
I 0.000 0.000 0.779
I 0.000 0.000 0.335
I 0.000 0.000 0.891
I 0.667 0.333 0.387
I 0.667 0.333 0.165
I 0.667 0.333 0.054
Cd 0.333 0.667 0.250
Cd 0.333 0.667 0.028
Cd 0.333 0.667 0.361
Cd 0.333 0.667 0.472
Cd 0.333 0.667 0.694
Cd 0.333 0.667 0.917
Cd 0.333 0.667 0.583
Cd 0.000 0.000 0.139
Cd 0.333 0.667 0.806

Results
Calculated density, Mg/m³: 5.06
Corrected total energy (MP2020 scheme), eV per cell: -58.35
DFT formation energy, eV/atom: -0.8375
Total DFT energy (no corrections), eV for the cell shown: -51.5



Crystalline CdI2 at its relaxed geometry, computed with PBE-GGA.

a b c (Å): 4.333 4.333 51.821
angles (deg): 90.00 90.00 120.00
Element x y z (fractional)
Cd 0.000 0.000 0.321
Cd 0.667 0.333 0.036
Cd 0.000 0.000 0.607
Cd 0.000 0.000 0.893
Cd 0.000 0.000 0.750
Cd 0.667 0.333 0.464
Cd 0.000 0.000 0.179
I 0.333 0.667 0.783
I 0.333 0.667 0.926
I 0.667 0.333 0.717
I 0.000 0.000 0.431
I 0.333 0.667 0.355
I 0.000 0.000 0.002
I 0.667 0.333 0.574
I 0.667 0.333 0.860
I 0.333 0.667 0.212
I 0.667 0.333 0.288
I 0.667 0.333 0.145
I 0.333 0.667 0.069
I 0.333 0.667 0.498
I 0.333 0.667 0.640

Results
Calculated density, Mg/m³: 5.05
Corrected total energy (MP2020 scheme), eV per cell: -45.39
DFT formation energy, eV/atom: -0.8379
Total DFT energy (no corrections), eV for the cell shown: -40.1



Crystalline CdI2 at its relaxed geometry, computed with PBE-GGA.

a b c (Å): 4.331 4.331 59.426
angles (deg): 90.00 90.00 120.00
Element x y z (fractional)
I 0.667 0.333 0.560
I 0.000 0.000 0.127
I 0.333 0.667 0.627
I 0.667 0.333 0.810
I 0.667 0.333 0.185
I 0.667 0.333 0.935
I 0.333 0.667 0.752
I 0.000 0.000 0.502
I 0.667 0.333 0.435
I 0.667 0.333 0.060
I 0.667 0.333 0.310
I 0.333 0.667 0.252
I 0.333 0.667 0.877
I 0.333 0.667 0.002
I 0.000 0.000 0.377
I 0.667 0.333 0.685
Cd 0.000 0.000 0.906
Cd 0.333 0.667 0.531
Cd 0.333 0.667 0.406
Cd 0.000 0.000 0.031
Cd 0.000 0.000 0.781
Cd 0.000 0.000 0.281
Cd 0.000 0.000 0.656
Cd 0.333 0.667 0.156

Results
Calculated density, Mg/m³: 5.04
Corrected total energy (MP2020 scheme), eV per cell: -51.88
DFT formation energy, eV/atom: -0.8380
Total DFT energy (no corrections), eV for the cell shown: -45.8



Crystalline CdI2 at its relaxed geometry, computed with PBE-GGA.

a b c (Å): 4.333 4.333 67.421
angles (deg): 90.00 90.00 120.00
Element x y z (fractional)
I 0.333 0.667 0.609
I 0.667 0.333 0.113
I 0.000 0.000 0.335
I 0.333 0.667 0.276
I 0.000 0.000 0.558
I 0.667 0.333 0.780
I 0.000 0.000 0.224
I 0.333 0.667 0.164
I 0.667 0.333 0.387
I 0.000 0.000 0.447
I 0.333 0.667 0.831
I 0.333 0.667 0.942
I 0.000 0.000 0.002
I 0.333 0.667 0.053
I 0.333 0.667 0.498
I 0.667 0.333 0.891
I 0.333 0.667 0.720
I 0.667 0.333 0.669
Cd 0.000 0.000 0.694
Cd 0.333 0.667 0.361
Cd 0.000 0.000 0.917
Cd 0.000 0.000 0.806
Cd 0.667 0.333 0.250
Cd 0.667 0.333 0.472
Cd 0.667 0.333 0.028
Cd 0.000 0.000 0.139
Cd 0.667 0.333 0.583

Results
Calculated density, Mg/m³: 4.99
Corrected total energy (MP2020 scheme), eV per cell: -58.38
DFT formation energy, eV/atom: -0.8384
Total DFT energy (no corrections), eV for the cell shown: -51.6



Crystalline CdI2 at its relaxed geometry, computed with PBE-GGA.

a b c (Å): 4.340 4.340 44.198
angles (deg): 87.19 87.19 60.00
Element x y z (fractional)
Cd 0.375 0.375 0.875
Cd 0.319 0.319 0.042
Cd 0.153 0.153 0.542
Cd 0.764 0.764 0.708
Cd 0.931 0.931 0.208
Cd 0.208 0.208 0.375
I 0.640 0.640 0.081
I 0.473 0.473 0.581
I 0.277 0.277 0.169
I 0.832 0.832 0.503
I 0.055 0.055 0.836
I 0.584 0.584 0.247
I 0.110 0.110 0.669
I 0.529 0.529 0.414
I 0.418 0.418 0.747
I 0.695 0.695 0.914
I 0.999 0.999 0.003
I 0.888 0.888 0.336

Results
Calculated density, Mg/m³: 5.07
Corrected total energy (MP2020 scheme), eV per cell: -38.78
DFT formation energy, eV/atom: -0.8310
Total DFT energy (no corrections), eV for the cell shown: -34.2



Crystalline CdI2 at its relaxed geometry, computed with PBE-GGA.

a b c (Å): 4.343 4.343 88.553
angles (deg): 90.00 90.00 120.00
Element x y z (fractional)
Cd 0.667 0.333 0.354
Cd 0.667 0.333 0.521
Cd 0.667 0.333 0.688
Cd 0.000 0.000 0.104
Cd 0.667 0.333 0.771
Cd 0.667 0.333 0.188
Cd 0.667 0.333 0.937
Cd 0.000 0.000 0.271
Cd 0.667 0.333 0.021
Cd 0.000 0.000 0.437
Cd 0.667 0.333 0.604
Cd 0.333 0.667 0.854
I 0.333 0.667 0.457
I 0.000 0.000 0.001
I 0.333 0.667 0.040
I 0.000 0.000 0.668
I 0.000 0.000 0.168
I 0.333 0.667 0.124
I 0.000 0.000 0.751
I 0.667 0.333 0.418
I 0.333 0.667 0.624
I 0.667 0.333 0.085
I 0.333 0.667 0.290
I 0.333 0.667 0.707
I 0.000 0.000 0.835
I 0.000 0.000 0.918
I 0.000 0.000 0.585
I 0.333 0.667 0.374
I 0.333 0.667 0.790
I 0.667 0.333 0.874
I 0.000 0.000 0.335
I 0.333 0.667 0.207
I 0.000 0.000 0.501
I 0.333 0.667 0.540
I 0.333 0.667 0.957
I 0.667 0.333 0.251

Results
Calculated density, Mg/m³: 5.05
Corrected total energy (MP2020 scheme), eV per cell: -77.80
DFT formation energy, eV/atom: -0.8376
Total DFT energy (no corrections), eV for the cell shown: -68.7